Below is a relaxed structure of VOF3, with properties calculated at the PBE with a Hubbard U level.

Properties
Final energy in eV per atom: -5.8878
Size of the total moment in μB/f.u.: 0.00
Symmetry: Pc, No. 7

Cell: 6.419 6.382 10.783 Å, 90.00 112.66 90.00°
Sites, in units of the cell vectors:
V  0.000  0.006  0.000
V  0.000  0.994  0.500
V  0.509  0.477  0.002
V  0.509  0.523  0.502
O  0.161  0.119  0.443
O  0.161  0.881  0.943
O  0.478  0.408  0.626
O  0.478  0.592  0.126
F  0.138  0.243  0.067
F  0.138  0.757  0.567
F  0.246  0.433  0.872
F  0.246  0.567  0.372
F  0.653  0.240  0.065
F  0.653  0.760  0.565
F  0.672  0.363  0.441
F  0.672  0.637  0.941
F  0.749  0.060  0.861
F  0.749  0.940  0.361
F  0.984  0.137  0.636
F  0.984  0.863  0.136